# Ni2PO5

A geometry-optimized Ni2PO5 structure (GGA+U, the Materials Project database).

Results
Energy above the most stable polymorph in this dataset in meV per atom: 0.0
Symmetry: No. 141
DFT total energy in eV per atom: -5.991
Density in g cm⁻³: 4.37
Formation energy in eV per atom: -1.841
E (MP2020) in eV per atom: -7.055

abc: 5.3691 7.1210 5.3691
angles: 67.83 90.02 112.18
Positions (direct):
Ni1 0.5000 0.5000 0.0000
Ni2 0.5000 0.0000 0.5000
Ni3 0.0001 0.0000 0.5000
Ni4 0.5000 0.5000 0.5000
P1 0.1249 0.7500 0.1249
P2 0.8751 0.2500 0.8751
O1 0.8061 0.1122 0.1870
O2 0.2991 0.6124 0.1938
O3 0.3747 0.2500 0.3747
O4 0.8130 0.6122 0.1938
O5 0.1938 0.8876 0.2991
O6 0.8062 0.1123 0.7009
O7 0.7009 0.3877 0.8062
O8 0.1870 0.3878 0.8061
O9 0.6253 0.7500 0.6253
O10 0.1938 0.8878 0.8130

***

# FeOF

A geometry-optimized FeOF structure (GGA+U, the Materials Project database).

Results
Symmetry: No. 6
DFT total energy in eV per atom: -6.015
Density in g cm⁻³: 4.28
Formation energy in eV per atom: -2.040
E (MP2020) in eV per atom: -7.150

abc: 3.0918 9.5934 14.2694
angles: 89.37 90.00 90.00
Positions (direct):
Fe1 0.0000 0.9984 0.9862
Fe2 0.0000 0.5010 0.9931
Fe3 0.5000 0.2532 0.8497
Fe4 0.5000 0.7806 0.8275
Fe5 0.0000 0.9944 0.6593
Fe6 0.0000 0.4999 0.6571
Fe7 0.5000 0.7501 0.5175
Fe8 0.5000 0.2513 0.5215
Fe9 0.0000 0.0039 0.3290
Fe10 0.0000 0.4980 0.3208
Fe11 0.5000 0.2460 0.1812
Fe12 0.5000 0.7162 0.1588
O1 0.5000 0.4064 0.9346
O2 0.5000 0.9017 0.9373
O3 0.0000 0.1557 0.9003
O4 0.0000 0.8558 0.7640
O5 0.5000 0.4071 0.6049
O6 0.5000 0.9081 0.5975
O7 0.0000 0.1522 0.5658
O8 0.0000 0.6538 0.5649
O9 0.5000 0.3987 0.2690
O10 0.0000 0.1447 0.2362
O11 0.0000 0.6529 0.2315
O12 0.5000 0.5917 0.0583
F1 0.0000 0.6587 0.8903
F2 0.0000 0.3525 0.7691
F3 0.5000 0.1043 0.7312
F4 0.5000 0.5977 0.7327
F5 0.0000 0.3452 0.4358
F6 0.0000 0.8508 0.4290
F7 0.5000 0.0912 0.3988
F8 0.5000 0.5951 0.3972
F9 0.5000 0.9025 0.2713
F10 0.0000 0.3359 0.1053
F11 0.0000 0.8484 0.1042
F12 0.5000 0.0958 0.0688

***

# FeOF

A geometry-optimized FeOF structure (GGA+U, the Materials Project database).

Results
Symmetry: No. 6
DFT total energy in eV per atom: -6.007
Density in g cm⁻³: 4.36
Formation energy in eV per atom: -2.031
E (MP2020) in eV per atom: -7.142

abc: 14.1424 14.1715 3.1106
angles: 90.00 90.00 89.91
Positions (direct):
Fe1 0.0120 0.9979 0.0000
Fe2 0.0080 0.3283 0.0000
Fe3 0.0052 0.6699 0.0000
Fe4 0.1535 0.1653 0.5000
Fe5 0.1487 0.4981 0.5000
Fe6 0.1533 0.8299 0.5000
Fe7 0.3456 0.9973 0.0000
Fe8 0.3436 0.3335 0.0000
Fe9 0.3437 0.6628 0.0000
Fe10 0.4879 0.4976 0.5000
Fe11 0.4855 0.1659 0.5000
Fe12 0.4859 0.8287 0.5000
Fe13 0.6699 0.0012 0.0000
Fe14 0.6802 0.3300 0.0000
Fe15 0.6803 0.6651 0.0000
Fe16 0.8416 0.1840 0.5000
Fe17 0.8212 0.4973 0.5000
Fe18 0.8356 0.8174 0.5000
O1 0.0681 0.2717 0.5000
O2 0.0621 0.6029 0.5000
O3 0.0641 0.9355 0.5000
O4 0.0999 0.1032 0.0000
O5 0.0974 0.4358 0.0000
O6 0.1044 0.7673 0.0000
O7 0.3961 0.2702 0.5000
O8 0.3971 0.6011 0.5000
O9 0.3994 0.9353 0.5000
O10 0.4350 0.1015 0.0000
O11 0.4347 0.4359 0.0000
O12 0.4340 0.7673 0.0000
O13 0.7298 0.2643 0.5000
O14 0.7318 0.6028 0.5000
O15 0.7678 0.4342 0.0000
O16 0.7688 0.7703 0.0000
O17 0.9033 0.2356 0.0000
O18 0.9388 0.7285 0.5000
F1 0.2321 0.2331 0.0000
F2 0.2291 0.5661 0.0000
F3 0.2329 0.8997 0.0000
F4 0.2673 0.0664 0.5000
F5 0.2676 0.7325 0.5000
F6 0.2646 0.4011 0.5000
F7 0.5644 0.2334 0.0000
F8 0.5659 0.5669 0.0000
F9 0.5675 0.8979 0.0000
F10 0.6006 0.0708 0.5000
F11 0.6009 0.3989 0.5000
F12 0.6010 0.7341 0.5000
F13 0.7385 0.9330 0.5000
F14 0.7725 0.1023 0.0000
F15 0.8982 0.5630 0.0000
F16 0.8982 0.9005 0.0000
F17 0.9305 0.0639 0.5000
F18 0.9341 0.4025 0.5000

***

Which value of E (MP2020) does entry 3 give? -7.142 eV per atom

***

Look up the DFT total energy of the first one. -5.991 eV per atom